No. 1
VASP calculation (PBE+U) on Fe2H14C8NO12 after structural relaxation.

a = 16.3605 Å, b = 16.3605 Å, c = 16.3605 Å
α = 52.72°, β = 52.72°, γ = 52.72°
Positions (direct):
Fe  0.0000  0.0000  0.0000
Fe  0.0764  0.7500  0.4236
Fe  0.1639  0.1639  0.1639
Fe  0.2500  0.5764  0.9236
Fe  0.3361  0.3361  0.3361
Fe  0.4236  0.0764  0.7500
Fe  0.5000  0.5000  0.5000
Fe  0.5764  0.9236  0.2500
Fe  0.6639  0.6639  0.6639
Fe  0.7500  0.4236  0.0764
Fe  0.8361  0.8361  0.8361
Fe  0.9236  0.2500  0.5764
H  0.0097  0.5932  0.2979
H  0.0238  0.5443  0.6846
H  0.0320  0.1504  0.4033
H  0.0332  0.0987  0.7569
H  0.0443  0.5238  0.1846
H  0.0668  0.3020  0.7907
H  0.0751  0.7246  0.8190
H  0.0932  0.5097  0.7979
H  0.0967  0.3496  0.4680
H  0.0987  0.7569  0.0332
H  0.1249  0.3652  0.8525
H  0.1348  0.3751  0.6475
H  0.1475  0.8751  0.6348
H  0.1504  0.4033  0.0320
H  0.1810  0.9249  0.2754
H  0.1846  0.0443  0.5238
H  0.1980  0.4332  0.7093
H  0.2021  0.9068  0.4903
H  0.2093  0.9332  0.6980
H  0.2246  0.5751  0.3190
H  0.2431  0.9668  0.9013
H  0.2569  0.5987  0.5332
H  0.2754  0.1810  0.9249
H  0.2907  0.8020  0.5668
H  0.2979  0.0097  0.5932
H  0.3020  0.7907  0.0668
H  0.3154  0.9762  0.4557
H  0.3190  0.2246  0.5751
H  0.3496  0.4680  0.0967
H  0.3525  0.8652  0.6249
H  0.3652  0.8525  0.1249
H  0.3751  0.6475  0.1348
H  0.4013  0.4668  0.7431
H  0.4033  0.0320  0.1504
H  0.4068  0.7021  0.9903
H  0.4249  0.6810  0.7754
H  0.4332  0.7093  0.1980
H  0.4557  0.3154  0.9762
H  0.4668  0.7431  0.4013
H  0.4680  0.0967  0.3496
H  0.4762  0.8154  0.9557
H  0.4903  0.2021  0.9068
H  0.5097  0.7979  0.0932
H  0.5238  0.1846  0.0443
H  0.5320  0.9033  0.6504
H  0.5332  0.2569  0.5987
H  0.5443  0.6846  0.0238
H  0.5668  0.2907  0.8020
H  0.5751  0.3190  0.2246
H  0.5932  0.2979  0.0097
H  0.5967  0.9680  0.8496
H  0.5987  0.5332  0.2569
H  0.6249  0.3525  0.8652
H  0.6348  0.1475  0.8751
H  0.6475  0.1348  0.3751
H  0.6504  0.5320  0.9033
H  0.6810  0.7754  0.4249
H  0.6846  0.0238  0.5443
H  0.6980  0.2093  0.9332
H  0.7021  0.9903  0.4068
H  0.7093  0.1980  0.4332
H  0.7246  0.8190  0.0751
H  0.7431  0.4013  0.4668
H  0.7569  0.0332  0.0987
H  0.7754  0.4249  0.6810
H  0.7907  0.0668  0.3020
H  0.7979  0.0932  0.5097
H  0.8020  0.5668  0.2907
H  0.8154  0.9557  0.4762
H  0.8190  0.0751  0.7246
H  0.8496  0.5967  0.9680
H  0.8525  0.1249  0.3652
H  0.8652  0.6249  0.3525
H  0.8751  0.6348  0.1475
H  0.9013  0.2431  0.9668
H  0.9033  0.6504  0.5320
H  0.9068  0.4903  0.2021
H  0.9249  0.2754  0.1810
H  0.9332  0.6980  0.2093
H  0.9557  0.4762  0.8154
H  0.9668  0.9013  0.2431
H  0.9680  0.8496  0.5967
H  0.9762  0.4557  0.3154
H  0.9903  0.4068  0.7021
C  0.0201  0.2389  0.3523
C  0.0264  0.6891  0.9080
C  0.0568  0.8616  0.2002
C  0.0581  0.3817  0.7207
C  0.0920  0.9736  0.3109
C  0.1183  0.4419  0.7793
C  0.1384  0.7998  0.9432
C  0.1477  0.2611  0.4799
C  0.1891  0.5264  0.4080
C  0.2002  0.0568  0.8616
C  0.2207  0.8817  0.5581
C  0.2389  0.3523  0.0201
C  0.2611  0.4799  0.1477
C  0.2793  0.9419  0.6183
C  0.2998  0.6384  0.4432
C  0.3109  0.0920  0.9736
C  0.3523  0.0201  0.2389
C  0.3616  0.5568  0.7002
C  0.3817  0.7207  0.0581
C  0.4080  0.1891  0.5264
C  0.4419  0.7793  0.1183
C  0.4432  0.2998  0.6384
C  0.4736  0.5920  0.8109
C  0.4799  0.1477  0.2611
C  0.5201  0.8523  0.7389
C  0.5264  0.4080  0.1891
C  0.5568  0.7002  0.3616
C  0.5581  0.2207  0.8817
C  0.5920  0.8109  0.4736
C  0.6183  0.2793  0.9419
C  0.6384  0.4432  0.2998
C  0.6477  0.9799  0.7611
C  0.6891  0.9080  0.0264
C  0.7002  0.3616  0.5568
C  0.7207  0.0581  0.3817
C  0.7389  0.5201  0.8523
C  0.7611  0.6477  0.9799
C  0.7793  0.1183  0.4419
C  0.7998  0.9432  0.1384
C  0.8109  0.4736  0.5920
C  0.8523  0.7389  0.5201
C  0.8616  0.2002  0.0568
C  0.8817  0.5581  0.2207
C  0.9080  0.0264  0.6891
C  0.9419  0.6183  0.2793
C  0.9432  0.1384  0.7998
C  0.9736  0.3109  0.0920
C  0.9799  0.7611  0.6477
N  0.0324  0.4676  0.7500
N  0.2500  0.9676  0.5324
N  0.4676  0.7500  0.0324
N  0.5324  0.2500  0.9676
N  0.7500  0.0324  0.4676
N  0.9676  0.5324  0.2500
O  0.0263  0.9234  0.3859
O  0.0334  0.6956  0.5990
O  0.0613  0.0792  0.2724
O  0.0610  0.2699  0.2471
O  0.0766  0.6141  0.9737
O  0.0792  0.2724  0.0613
O  0.0940  0.8926  0.0950
O  0.0950  0.0940  0.8926
O  0.0990  0.1956  0.5334
O  0.1074  0.9050  0.9060
O  0.1141  0.5766  0.4737
O  0.1171  0.7890  0.2565
O  0.1956  0.5334  0.0990
O  0.2110  0.7435  0.8829
O  0.2276  0.4208  0.4387
O  0.2301  0.4390  0.2529
O  0.2435  0.7110  0.3829
O  0.2471  0.0610  0.2699
O  0.2529  0.2301  0.4390
O  0.2565  0.1171  0.7890
O  0.2699  0.2471  0.0610
O  0.2724  0.0613  0.0792
O  0.2890  0.6171  0.7565
O  0.3044  0.4010  0.9666
O  0.3829  0.2435  0.7110
O  0.3859  0.0263  0.9234
O  0.3926  0.5940  0.5950
O  0.4010  0.9666  0.3044
O  0.4050  0.6074  0.4060
O  0.4060  0.4050  0.6074
O  0.4208  0.4387  0.2276
O  0.4234  0.5263  0.8859
O  0.4387  0.2276  0.4208
O  0.4390  0.2529  0.2301
O  0.4666  0.9010  0.8044
O  0.4737  0.1141  0.5766
O  0.5263  0.8859  0.4234
O  0.5334  0.0990  0.1956
O  0.5610  0.7471  0.7699
O  0.5613  0.7724  0.5792
O  0.5766  0.4737  0.1141
O  0.5792  0.5613  0.7724
O  0.5940  0.5950  0.3926
O  0.5950  0.3926  0.5940
O  0.5990  0.0334  0.6956
O  0.6074  0.4060  0.4050
O  0.6141  0.9737  0.0766
O  0.6171  0.7565  0.2890
O  0.6956  0.5990  0.0334
O  0.7110  0.3829  0.2435
O  0.7276  0.9387  0.9208
O  0.7301  0.7529  0.9390
O  0.7435  0.8829  0.2110
O  0.7471  0.7699  0.5610
O  0.7529  0.9390  0.7301
O  0.7565  0.2890  0.6171
O  0.7699  0.5610  0.7471
O  0.7724  0.5792  0.5613
O  0.7890  0.2565  0.1171
O  0.8044  0.4666  0.9010
O  0.8829  0.2110  0.7435
O  0.8859  0.4234  0.5263
O  0.8926  0.0950  0.0940
O  0.9010  0.8044  0.4666
O  0.9050  0.9060  0.1074
O  0.9060  0.1074  0.9050
O  0.9208  0.7276  0.9387
O  0.9234  0.3859  0.0263
O  0.9390  0.7301  0.7529
O  0.9387  0.9208  0.7276
O  0.9666  0.3044  0.4010
O  0.9737  0.0766  0.6141

Its calculated formation energy is -0.983 eV/atom. The corrected total energy (MP2020 scheme) comes out at -0.2407 hartree per atom.

No. 2
VASP calculation (PBE+U) on Li2V5O10 after structural relaxation.

a = 5.1387 Å, b = 7.7699 Å, c = 10.3680 Å
α = 103.87°, β = 103.67°, γ = 77.59°
Positions (direct):
O  0.2198  0.4960  0.4693
O  0.7339  0.7829  0.3999
O  0.7794  0.5115  0.5330
O  0.7856  0.9327  0.6609
O  0.2723  0.2230  0.0909
O  0.8341  0.3154  0.7628
O  0.7857  0.9327  0.1609
O  0.7795  0.5115  0.0330
O  0.8341  0.3154  0.2628
O  0.1706  0.6896  0.2437
O  0.2158  0.8651  0.0245
O  0.1707  0.6896  0.7437
O  0.2071  0.0541  0.8401
O  0.7816  0.1302  0.9675
O  0.2156  0.8651  0.5245
O  0.2199  0.4960  0.9693
O  0.2072  0.0540  0.3401
O  0.7816  0.1302  0.4675
O  0.2723  0.2230  0.5909
O  0.7341  0.7830  0.8999
Li  0.5445  0.3983  0.6072
Li  0.5445  0.3983  0.1072
Li  0.4566  0.5995  0.3964
Li  0.4567  0.5993  0.8963
V  0.0405  0.1037  0.6527
V  0.0166  0.6858  0.0685
V  0.4980  0.0040  0.5012
V  0.0165  0.6858  0.5685
V  0.9868  0.3149  0.9356
V  0.4983  0.0039  0.0013
V  0.9563  0.8934  0.3458
V  0.9564  0.8935  0.8458
V  0.0406  0.1037  0.1527
V  0.9868  0.3149  0.4356

Its calculated formation energy is -2.454 eV/atom. The corrected total energy (MP2020 scheme) comes out at -0.3036 hartree per atom.

No. 3
VASP calculation (PBE+U) on Li8CoO4F2 after structural relaxation.

a = 5.6154 Å, b = 5.6154 Å, c = 10.8469 Å
α = 90.00°, β = 90.00°, γ = 60.67°
Positions (direct):
Li  0.0977  0.9023  0.5000
Li  0.1217  0.5056  0.0094
Li  0.1547  0.1701  0.7754
Li  0.1701  0.1547  0.2754
Li  0.1884  0.8116  0.1451
Li  0.1931  0.5025  0.6358
Li  0.4944  0.8783  0.0094
Li  0.4975  0.8069  0.6358
Li  0.5025  0.1931  0.1358
Li  0.5056  0.1217  0.5094
Li  0.8069  0.4975  0.1358
Li  0.8116  0.1884  0.6451
Li  0.8299  0.8453  0.7754
Li  0.8453  0.8299  0.2754
Li  0.8783  0.4944  0.5094
Li  0.9023  0.0977  0.0000
Co  0.4717  0.5283  0.3758
Co  0.5283  0.4717  0.8758
O  0.1628  0.8372  0.3234
O  0.1664  0.1717  0.0910
O  0.1717  0.1664  0.5910
O  0.4864  0.5136  0.0532
O  0.5136  0.4864  0.5532
O  0.8283  0.8336  0.0910
O  0.8336  0.8283  0.5910
O  0.8372  0.1628  0.8234
F  0.1564  0.5079  0.8218
F  0.4921  0.8436  0.8218
F  0.5079  0.1564  0.3218
F  0.8436  0.4921  0.3218

Its calculated formation energy is -2.178 eV/atom. The corrected total energy (MP2020 scheme) comes out at -0.1927 hartree per atom.

No. 4
VASP calculation (PBE+U) on Sr7CaMnFe7O24 after structural relaxation.

a = 7.8091 Å, b = 7.8091 Å, c = 7.8091 Å
α = 90.00°, β = 90.00°, γ = 90.00°
Positions (direct):
Sr  0.0000  0.0000  0.0000
Sr  0.0001  0.0001  0.4998
Sr  0.0001  0.4998  0.0001
Sr  0.0001  0.4998  0.4998
Sr  0.4998  0.0001  0.0001
Sr  0.4998  0.0001  0.4998
Sr  0.4998  0.4998  0.0001
Ca  0.5000  0.5000  0.5000
Mn  0.2504  0.2504  0.2504
Fe  0.2504  0.2504  0.7494
Fe  0.2504  0.7494  0.2504
Fe  0.2504  0.7494  0.7494
Fe  0.7494  0.2504  0.2504
Fe  0.7494  0.2504  0.7494
Fe  0.7494  0.7494  0.2504
Fe  0.7495  0.7495  0.7495
O  0.0006  0.7496  0.7496
O  0.0024  0.2504  0.2504
O  0.2504  0.0024  0.2504
O  0.2504  0.2504  0.0024
O  0.2503  0.7496  0.9989
O  0.2503  0.9989  0.7496
O  0.2519  0.2519  0.4974
O  0.2519  0.4974  0.2519
O  0.2520  0.5009  0.7479
O  0.2520  0.7479  0.5009
O  0.4974  0.2519  0.2519
O  0.4994  0.7479  0.7479
O  0.5009  0.2520  0.7479
O  0.5009  0.7479  0.2520
O  0.7479  0.2520  0.5009
O  0.7479  0.4994  0.7479
O  0.7479  0.5009  0.2520
O  0.7479  0.7479  0.4994
O  0.7496  0.0006  0.7496
O  0.7496  0.2503  0.9989
O  0.7496  0.7496  0.0006
O  0.7496  0.9989  0.2503
O  0.9989  0.2503  0.7496
O  0.9989  0.7496  0.2503

Its calculated formation energy is -2.249 eV/atom. The corrected total energy (MP2020 scheme) comes out at -0.2673 hartree per atom.

No. 5
VASP calculation (PBE+U) on MgMn6O12 after structural relaxation.

a = 5.7364 Å, b = 5.7364 Å, c = 14.4928 Å
α = 93.08°, β = 93.08°, γ = 60.83°
Positions (direct):
Mg  0.1260  0.8740  0.5000
Mg  0.8740  0.1260  0.0000
Mn  0.1037  0.3567  0.3457
Mn  0.1077  0.8594  0.1959
Mn  0.1432  0.3927  0.0283
Mn  0.3556  0.6060  0.6982
Mn  0.3567  0.1037  0.8457
Mn  0.3927  0.1432  0.5283
Mn  0.6060  0.3556  0.1982
Mn  0.6081  0.8529  0.3456
Mn  0.6083  0.8570  0.0263
Mn  0.8529  0.6081  0.8456
Mn  0.8570  0.6083  0.5263
Mn  0.8594  0.1077  0.6959
O  0.0209  0.2727  0.9129
O  0.0208  0.7710  0.6209
O  0.0395  0.2536  0.5713
O  0.1993  0.4494  0.7948
O  0.2040  0.4874  0.4645
O  0.2059  0.9581  0.7540
O  0.2536  0.0395  0.0713
O  0.2727  0.0209  0.4129
O  0.2783  0.5260  0.1249
O  0.4494  0.1993  0.2948
O  0.4613  0.7111  0.2519
O  0.4874  0.2040  0.9645
O  0.5033  0.7909  0.5712
O  0.5102  0.7604  0.9092
O  0.5260  0.2783  0.6249
O  0.6988  0.9508  0.7944
O  0.7111  0.4613  0.7519
O  0.7374  0.9551  0.4648
O  0.7604  0.5102  0.4092
O  0.7710  0.0208  0.1209
O  0.7909  0.5033  0.0712
O  0.9508  0.6988  0.2944
O  0.9551  0.7374  0.9648
O  0.9581  0.2059  0.2540

Its calculated formation energy is -1.986 eV/atom. The corrected total energy (MP2020 scheme) comes out at -0.2973 hartree per atom.

No. 6
VASP calculation (PBE+U) on Li2V3P4O14 after structural relaxation.

a = 7.4335 Å, b = 7.9380 Å, c = 9.6193 Å
α = 90.00°, β = 110.28°, γ = 90.00°
Positions (direct):
Li  0.2060  0.0801  0.1428
Li  0.2060  0.4199  0.6428
Li  0.7940  0.5801  0.3572
Li  0.7940  0.9199  0.8572
V  0.3094  0.1303  0.4791
V  0.3094  0.3697  0.9791
V  0.5000  0.0000  0.0000
V  0.5000  0.5000  0.5000
V  0.6906  0.6303  0.0209
V  0.6906  0.8697  0.5209
P  0.0982  0.0522  0.7186
P  0.0982  0.4478  0.2186
P  0.3804  0.7034  0.1923
P  0.3804  0.7966  0.6923
P  0.6196  0.2034  0.3077
P  0.6196  0.2966  0.8077
P  0.9018  0.5522  0.7814
P  0.9018  0.9478  0.2814
O  0.1078  0.5088  0.7969
O  0.1078  0.9912  0.2969
O  0.1214  0.1725  0.6017
O  0.1214  0.3275  0.1017
O  0.1800  0.6312  0.1926
O  0.1800  0.8688  0.6926
O  0.2216  0.1118  0.8776
O  0.2216  0.3882  0.3776
O  0.3430  0.6248  0.6191
O  0.3430  0.8752  0.1191
O  0.4609  0.5788  0.1055
O  0.4609  0.9212  0.6055
O  0.4892  0.2044  0.1423
O  0.4892  0.2956  0.6423
O  0.5108  0.7044  0.3577
O  0.5108  0.7956  0.8577
O  0.5391  0.0788  0.3945
O  0.5391  0.4212  0.8945
O  0.6570  0.1248  0.8809
O  0.6570  0.3752  0.3809
O  0.7784  0.6118  0.6224
O  0.7784  0.8882  0.1224
O  0.8200  0.1312  0.3074
O  0.8200  0.3688  0.8074
O  0.8786  0.6725  0.8983
O  0.8786  0.8275  0.3983
O  0.8922  0.0088  0.7031
O  0.8922  0.4912  0.2031

Its calculated formation energy is -2.634 eV/atom. The corrected total energy (MP2020 scheme) comes out at -0.2917 hartree per atom.

Q: Number 6 is which compound?
A: Li2V3P4O14